Record 1
This record from Materials Project describes crystalline CuH6C2SeCl at its relaxed geometry. The functional is PBE.

Cell lengths 6.885, 7.291, 11.402 Å; angles 82.33, 90.00, 90.00 degrees
Atoms (fractional coordinates):
H  0.917  0.132  0.052
H  0.489  0.299  0.639
H  0.268  0.571  0.671
H  0.989  0.701  0.861
H  0.511  0.701  0.361
H  0.573  0.454  0.202
H  0.492  0.329  0.341
H  0.232  0.571  0.171
H  0.706  0.350  0.551
H  0.294  0.650  0.449
H  0.992  0.671  0.159
H  0.768  0.429  0.829
H  0.427  0.546  0.798
H  0.417  0.868  0.448
H  0.206  0.650  0.949
H  0.794  0.350  0.051
H  0.083  0.868  0.948
H  0.008  0.329  0.841
H  0.508  0.671  0.659
H  0.583  0.132  0.552
H  0.927  0.454  0.702
H  0.073  0.546  0.298
H  0.732  0.429  0.329
H  0.011  0.299  0.139
Cu  0.452  0.000  0.123
Cu  0.548  0.000  0.877
Cu  0.952  0.000  0.377
Cu  0.048  0.000  0.623
C  0.883  0.365  0.783
C  0.383  0.635  0.717
C  0.617  0.365  0.283
C  0.880  0.243  0.104
C  0.117  0.635  0.217
C  0.620  0.243  0.604
C  0.380  0.757  0.396
C  0.120  0.757  0.896
Se  0.785  0.131  0.735
Se  0.715  0.131  0.235
Se  0.215  0.869  0.265
Se  0.285  0.869  0.765
Cl  0.632  0.775  0.033
Cl  0.868  0.775  0.533
Cl  0.368  0.225  0.967
Cl  0.132  0.225  0.467

Output
Its energy of formation from the pure elements is -0.25 eV/atom. The calculation puts the final energy at -201.64 eV/cell.

Record 2
This record from Materials Project describes crystalline Zr2InAu2 at its relaxed geometry. The functional is PBE.

Cell lengths 7.647, 7.647, 3.608 Å; angles 90.00, 90.00, 90.00 degrees
Atoms (fractional coordinates):
Zr  0.170  0.330  0.000
Zr  0.670  0.170  0.000
Zr  0.830  0.670  0.000
Zr  0.330  0.830  0.000
Au  0.871  0.371  0.500
Au  0.371  0.129  0.500
Au  0.129  0.629  0.500
Au  0.629  0.871  0.500
In  0.000  0.000  0.500
In  0.500  0.500  0.500

Output
Its energy of formation from the pure elements is -0.47 eV/atom. The calculation puts the final energy at -57.47 eV/cell. The value obtained for the energy above the lowest structure with this stoichiometry is 21 kJ/mol of formula units.

Record 3
This record from Materials Project describes crystalline DyGe3 at its relaxed geometry. The functional is PBE.

Cell lengths 3.925, 4.031, 10.640 Å; angles 79.08, 90.00, 90.00 degrees
Atoms (fractional coordinates):
Ge  0.750  0.691  0.618
Ge  0.250  0.960  0.079
Ge  0.250  0.309  0.382
Ge  0.750  0.811  0.379
Ge  0.750  0.040  0.921
Ge  0.250  0.189  0.621
Dy  0.750  0.418  0.164
Dy  0.250  0.582  0.836

Output
Its energy of formation from the pure elements is -0.46 eV/atom. The calculation puts the final energy at -40.61 eV/cell.

Record 4
This record from Materials Project describes crystalline Rb2Nb2P2S11 at its relaxed geometry. The functional is PBE.

Cell lengths 7.148, 7.135, 18.884 Å; angles 81.41, 90.00, 90.00 degrees
Atoms (fractional coordinates):
S  0.750  0.546  0.324
S  0.016  0.062  0.667
S  0.516  0.938  0.333
S  0.250  0.936  0.187
S  0.978  0.520  0.142
S  0.250  0.263  0.519
S  0.522  0.520  0.142
S  0.750  0.064  0.813
S  0.484  0.062  0.667
S  0.750  0.439  0.654
S  0.750  0.891  0.175
S  0.250  0.230  0.998
S  0.750  0.737  0.481
S  0.022  0.480  0.858
S  0.250  0.454  0.676
S  0.250  0.109  0.825
S  0.250  0.561  0.346
S  0.750  0.600  0.733
S  0.250  0.400  0.267
S  0.750  0.770  0.002
S  0.478  0.480  0.858
S  0.984  0.938  0.333
P  0.250  0.208  0.626
P  0.750  0.687  0.108
P  0.750  0.792  0.374
P  0.250  0.313  0.892
Rb  0.250  0.772  0.508
Rb  0.750  0.228  0.492
Rb  0.250  0.748  0.996
Rb  0.750  0.252  0.004
Nb  0.549  0.303  0.755
Nb  0.049  0.697  0.245
Nb  0.951  0.303  0.755
Nb  0.451  0.697  0.245

Output
Its energy of formation from the pure elements is -1.11 eV/atom. The calculation puts the final energy at -183.71 eV/cell. The value obtained for the energy above the lowest structure with this stoichiometry is 0 kJ/mol of formula units.

Record 5
This record from Materials Project describes crystalline Sr2ZnP2 at its relaxed geometry. The functional is PBE.

Cell lengths 4.248, 4.248, 8.404 Å; angles 90.00, 90.00, 120.00 degrees
Atoms (fractional coordinates):
Zn  0.667  0.333  0.000
Sr  0.000  0.000  0.704
Sr  0.000  0.000  0.296
P  0.667  0.333  0.500
P  0.333  0.667  0.000

Output
Its energy of formation from the pure elements is -0.79 eV/atom. The calculation puts the final energy at -19.43 eV/cell.

Record 6
This record from Materials Project describes crystalline CdH2O2 at its relaxed geometry. The functional is PBE.

Cell lengths 3.500, 5.797, 6.145 Å; angles 117.65, 105.95, 91.13 degrees
Atoms (fractional coordinates):
H  0.528  0.723  0.009
H  0.882  0.374  0.726
H  0.352  0.320  0.004
H  0.164  0.655  0.286
O  0.240  0.832  0.444
O  0.532  0.890  0.007
O  0.802  0.395  0.569
O  0.073  0.311  0.005
Cd  0.173  0.151  0.315
Cd  0.865  0.842  0.698

Output
Its energy of formation from the pure elements is -1.33 eV/atom. The calculation puts the final energy at -45.71 eV/cell. The value obtained for the energy above the lowest structure with this stoichiometry is 0 kJ/mol of formula units.

Record 7
This record from Materials Project describes crystalline Sr4Ca2TlCu4PbO14 at its relaxed geometry. The functional is PBE.

Cell lengths 12.829, 12.829, 12.829 Å; angles 155.82, 155.82, 34.46 degrees
Atoms (fractional coordinates):
O  0.435  0.435  0.501
O  0.435  0.935  0.000
O  0.065  0.065  0.501
O  0.935  0.435  0.000
O  0.500  0.000  0.500
O  0.565  0.065  0.000
O  0.000  0.500  0.500
O  0.913  0.913  0.000
O  0.415  0.415  0.000
O  0.585  0.585  0.000
O  0.087  0.087  0.000
O  0.065  0.565  0.000
O  0.565  0.565  0.499
O  0.935  0.935  0.499
Sr  0.108  0.608  0.500
Sr  0.608  0.108  0.500
Sr  0.892  0.392  0.500
Sr  0.392  0.892  0.500
Cu  0.178  0.178  0.000
Cu  0.320  0.320  0.000
Cu  0.822  0.822  0.000
Cu  0.680  0.680  0.000
Tl  0.500  0.500  0.000
Ca  0.750  0.250  0.500
Ca  0.250  0.750  0.500
Pb  0.000  0.000  0.000

Output
Its energy of formation from the pure elements is -2.08 eV/atom. The calculation puts the final energy at -146.89 eV/cell.

Record 8
This record from Materials Project describes crystalline AsS3N2F6 at its relaxed geometry. The functional is PBE.

Cell lengths 5.797, 8.043, 9.632 Å; angles 88.88, 98.99, 105.33 degrees
Atoms (fractional coordinates):
F  0.320  0.236  0.684
F  0.722  0.631  0.091
F  0.168  0.770  0.134
F  0.027  0.416  0.681
F  0.680  0.764  0.316
F  0.126  0.049  0.868
F  0.832  0.230  0.866
F  0.130  0.907  0.360
F  0.278  0.369  0.909
F  0.870  0.093  0.640
F  0.874  0.951  0.132
F  0.973  0.584  0.319
S  0.550  0.259  0.431
S  0.450  0.741  0.569
S  0.525  0.203  0.146
S  0.475  0.797  0.854
S  0.268  0.346  0.196
S  0.732  0.654  0.804
As  0.073  0.230  0.774
As  0.927  0.770  0.226
N  0.641  0.185  0.306
N  0.344  0.344  0.363
N  0.656  0.656  0.637
N  0.359  0.815  0.694

Output
Its energy of formation from the pure elements is -1.32 eV/atom. The calculation puts the final energy at -116.54 eV/cell. The value obtained for the energy above the lowest structure with this stoichiometry is 14 kJ/mol of formula units.

Record 9
This record from Materials Project describes crystalline Ru3N12Cl8O6 at its relaxed geometry. The functional is PBE.

Cell lengths 13.112, 13.112, 13.112 Å; angles 155.86, 139.07, 48.09 degrees
Atoms (fractional coordinates):
Ru  0.500  0.500  0.000
Ru  0.788  0.788  0.000
Ru  0.212  0.212  0.000
N  0.121  0.846  0.725
N  0.741  0.503  0.761
N  0.259  0.497  0.239
N  0.741  0.980  0.239
N  0.879  0.604  0.725
N  0.443  0.204  0.762
N  0.259  0.020  0.761
N  0.557  0.319  0.762
N  0.121  0.396  0.275
N  0.879  0.154  0.275
N  0.557  0.796  0.238
N  0.443  0.681  0.238
O  0.665  0.830  0.835
O  0.005  0.170  0.835
O  0.067  0.500  0.567
O  0.933  0.500  0.433
O  0.995  0.830  0.165
O  0.335  0.170  0.165
Cl  0.976  0.619  0.357
Cl  0.262  0.619  0.643
Cl  0.584  0.084  0.500
Cl  0.416  0.916  0.500
Cl  0.820  0.000  0.820
Cl  0.180  0.000  0.180
Cl  0.738  0.381  0.357
Cl  0.024  0.381  0.643

Output
Its energy of formation from the pure elements is 1.22 eV/atom. The calculation puts the final energy at -135.95 eV/cell.

Record 10
This record from Materials Project describes crystalline Li3Zr4P6O24 at its relaxed geometry. The functional is PBE.

Cell lengths 8.947, 9.015, 9.020 Å; angles 61.38, 60.41, 60.26 degrees
Atoms (fractional coordinates):
O  0.101  0.712  0.927
O  0.504  0.888  0.690
O  0.766  0.399  0.571
O  0.103  0.311  0.523
O  0.909  0.285  0.046
O  0.054  0.914  0.285
O  0.209  0.371  0.996
O  0.442  0.228  0.589
O  0.720  0.941  0.090
O  0.305  0.502  0.113
O  0.233  0.603  0.431
O  0.424  0.537  0.778
O  0.267  0.069  0.897
O  0.943  0.093  0.728
O  0.564  0.771  0.404
O  0.606  0.023  0.804
O  0.586  0.455  0.216
O  0.995  0.804  0.620
O  0.893  0.687  0.493
O  0.001  0.196  0.388
O  0.694  0.503  0.879
O  0.493  0.112  0.309
O  0.387  0.971  0.204
O  0.799  0.623  0.999
P  0.258  0.531  0.956
P  0.042  0.753  0.458
P  0.747  0.466  0.035
P  0.957  0.249  0.547
P  0.456  0.048  0.746
P  0.542  0.955  0.251
Li  0.547  0.322  0.684
Li  0.035  0.151  0.856
Li  0.449  0.680  0.316
Zr  0.355  0.361  0.356
Zr  0.138  0.139  0.146
Zr  0.645  0.645  0.636
Zr  0.864  0.856  0.862

Output
Its energy of formation from the pure elements is -3.08 eV/atom. The calculation puts the final energy at -288.69 eV/cell.

Record 11
This record from Materials Project describes crystalline Ni at its relaxed geometry. The functional is PBE.

Cell lengths 2.417, 2.417, 13.515 Å; angles 90.00, 90.00, 120.00 degrees
Atoms (fractional coordinates):
Ni  0.667  0.333  0.575
Ni  0.333  0.667  0.425

Output
Its energy of formation from the pure elements is 0.62 eV/atom. The calculation puts the final energy at -10.32 eV/cell. The value obtained for the energy above the lowest structure with this stoichiometry is 60 kJ/mol of formula units.

Record 12
This record from Materials Project describes crystalline AlZnH10O7F5 at its relaxed geometry. The functional is PBE.

Cell lengths 6.696, 8.695, 8.856 Å; angles 105.22, 94.85, 99.07 degrees
Atoms (fractional coordinates):
H  0.822  0.016  0.274
H  0.046  0.307  0.978
H  0.666  0.251  0.367
H  0.105  0.366  0.724
H  0.946  0.010  0.692
H  0.895  0.634  0.276
H  0.954  0.693  0.022
H  0.178  0.984  0.726
H  0.595  0.855  0.974
H  0.818  0.266  0.016
H  0.603  0.940  0.836
H  0.054  0.990  0.308
H  0.898  0.247  0.618
H  0.334  0.749  0.633
H  0.397  0.060  0.164
H  0.356  0.584  0.678
H  0.182  0.734  0.984
H  0.405  0.145  0.026
H  0.102  0.753  0.382
H  0.644  0.416  0.322
Al  0.500  0.500  0.000
Al  0.500  0.000  0.500
Zn  0.000  0.500  0.500
Zn  0.000  0.000  0.000
F  0.231  0.915  0.400
F  0.573  0.811  0.421
F  0.748  0.596  0.093
F  0.425  0.930  0.678
F  0.427  0.189  0.579
F  0.252  0.404  0.907
F  0.435  0.688  0.000
F  0.565  0.312  0.000
F  0.769  0.085  0.600
F  0.575  0.070  0.322
O  0.043  0.754  0.966
O  0.995  0.356  0.638
O  0.398  0.513  0.239
O  0.318  0.069  0.068
O  0.602  0.487  0.761
O  0.271  0.631  0.615
O  0.682  0.931  0.932
O  0.273  0.407  0.270
O  0.005  0.644  0.362
O  0.729  0.369  0.385
O  0.957  0.246  0.034
O  0.958  0.023  0.237
O  0.727  0.593  0.730
O  0.042  0.977  0.763

Output
Its energy of formation from the pure elements is -1.75 eV/atom. The calculation puts the final energy at -236.00 eV/cell.